# 1
DFT (meta-GGA r2SCAN) results for a relaxed structure of Zr2OsRu.

a = 4.624 Å, b = 4.624 Å, c = 4.624 Å
α = 60.00°, β = 60.00°, γ = 60.00°
Atoms (fractional coordinates):
Zr  0.250  0.250  0.250
Zr  0.750  0.750  0.750
Os  0.000  0.000  0.000
Ru  0.500  0.500  0.500

E_tot (eV per cell): -126.8
Space group: Fm-3m (225)

***

# 2
DFT (meta-GGA r2SCAN) results for a relaxed structure of YbSb12Os4.

a = 8.096 Å, b = 8.096 Å, c = 8.096 Å
α = 109.47°, β = 109.47°, γ = 109.47°
Atoms (fractional coordinates):
Yb  0.000  0.000  0.000
Sb  0.155  0.338  0.493
Sb  0.155  0.662  0.818
Sb  0.182  0.845  0.338
Sb  0.338  0.182  0.845
Sb  0.338  0.493  0.155
Sb  0.493  0.155  0.338
Sb  0.507  0.845  0.662
Sb  0.662  0.507  0.845
Sb  0.662  0.818  0.155
Sb  0.818  0.155  0.662
Sb  0.845  0.338  0.182
Sb  0.845  0.662  0.507
Os  0.000  0.000  0.500
Os  0.000  0.500  0.000
Os  0.500  0.000  0.000
Os  0.500  0.500  0.500

E_tot (eV per cell): -559.5
Space group: Im-3 (204)

***

# 3
DFT (meta-GGA r2SCAN) results for a relaxed structure of Sc2ZnOs.

a = 4.605 Å, b = 4.605 Å, c = 4.605 Å
α = 60.00°, β = 60.00°, γ = 60.00°
Atoms (fractional coordinates):
Sc  0.250  0.250  0.250
Sc  0.750  0.750  0.750
Zn  0.000  0.000  0.000
Os  0.500  0.500  0.500

E_tot (eV per cell): -86.6
Space group: Fm-3m (225)

***

# 4
DFT (meta-GGA r2SCAN) results for a relaxed structure of ZrScOs2.

a = 4.581 Å, b = 4.581 Å, c = 4.581 Å
α = 60.00°, β = 60.00°, γ = 60.00°
Atoms (fractional coordinates):
Zr  0.000  0.000  0.000
Sc  0.500  0.500  0.500
Os  0.250  0.250  0.250
Os  0.750  0.750  0.750

E_tot (eV per cell): -142.5
Space group: Fm-3m (225)

***

# 5
DFT (meta-GGA r2SCAN) results for a relaxed structure of Si2Os.

a = 6.507 Å, b = 6.507 Å, c = 8.223 Å
α = 90.00°, β = 90.00°, γ = 77.09°
Atoms (fractional coordinates):
Si  0.075  0.179  0.225
Si  0.095  0.649  0.058
Si  0.149  0.595  0.558
Si  0.179  0.075  0.775
Si  0.321  0.425  0.275
Si  0.351  0.905  0.058
Si  0.405  0.851  0.558
Si  0.425  0.321  0.725
Si  0.575  0.679  0.275
Si  0.595  0.149  0.442
Si  0.649  0.095  0.942
Si  0.679  0.575  0.725
Si  0.821  0.925  0.225
Si  0.851  0.405  0.442
Si  0.905  0.351  0.942
Si  0.925  0.821  0.775
Os  0.189  0.811  0.317
Os  0.216  0.216  0.500
Os  0.284  0.284  0.000
Os  0.311  0.689  0.817
Os  0.689  0.311  0.183
Os  0.716  0.716  0.000
Os  0.784  0.784  0.500
Os  0.811  0.189  0.683

E_tot (eV per cell): -576.2
Space group: Cmce (64)

***

# 6
DFT (meta-GGA r2SCAN) results for a relaxed structure of SiOs.

a = 4.766 Å, b = 4.766 Å, c = 4.766 Å
α = 90.00°, β = 90.00°, γ = 90.00°
Atoms (fractional coordinates):
Si  0.165  0.335  0.665
Si  0.335  0.665  0.165
Si  0.665  0.165  0.335
Si  0.835  0.835  0.835
Os  0.123  0.123  0.123
Os  0.377  0.877  0.623
Os  0.623  0.377  0.877
Os  0.877  0.623  0.377

E_tot (eV per cell): -250.2
Space group: P2_13 (198)

***

# 7
DFT (meta-GGA r2SCAN) results for a relaxed structure of SiOs.

a = 2.938 Å, b = 2.938 Å, c = 2.938 Å
α = 90.00°, β = 90.00°, γ = 90.00°
Atoms (fractional coordinates):
Si  0.000  0.000  0.000
Os  0.500  0.500  0.500

E_tot (eV per cell): -62.5
Space group: Pm-3m (221)

***

# 8
DFT (meta-GGA r2SCAN) results for a relaxed structure of Si2Os.

a = 4.574 Å, b = 4.574 Å, c = 7.486 Å
α = 117.20°, β = 117.20°, γ = 38.28°
Atoms (fractional coordinates):
Si  0.106  0.106  0.399
Si  0.358  0.358  0.972
Si  0.642  0.642  0.028
Si  0.894  0.894  0.601
Os  0.344  0.344  0.297
Os  0.656  0.656  0.703

E_tot (eV per cell): -143.6
Space group: C2/m (12)

***

> E_tot of number 5 (Si2Os)?

-576.2 eV per cell